Entry 1:
# LiMn2B2O6

A geometry-optimized LiMn2B2O6 structure (PBE+U, the Materials Project).

```
data_LiMn2B2O6
_space_group_name_H-M_alt 'P 1'
_space_group_IT_number 1
_cell_length_a 5.292
_cell_length_b 11.562
_cell_length_c 13.764
_cell_angle_alpha 113.49
_cell_angle_beta 91.35
_cell_angle_gamma 101.22
loop_
_space_group_symop_operation_xyz
'x,y,z'
loop_
_atom_site_label
_atom_site_type_symbol
_atom_site_fract_x
_atom_site_fract_y
_atom_site_fract_z
Li1 Li 0.000 0.000 0.000
Li2 Li 0.026 0.494 0.241
Li3 Li 0.152 0.326 0.824
Li4 Li 0.319 0.675 0.663
Li5 Li 0.786 0.657 0.160
Li6 Li 0.856 0.161 0.419
Mn1 Mn 0.018 0.088 0.619
Mn2 Mn 0.066 0.202 0.238
Mn3 Mn 0.078 0.580 0.857
Mn4 Mn 0.118 0.689 0.474
Mn5 Mn 0.335 0.753 0.279
Mn6 Mn 0.415 0.851 0.882
Mn7 Mn 0.422 0.251 0.538
Mn8 Mn 0.473 0.352 0.150
Mn9 Mn 0.699 0.431 0.963
Mn10 Mn 0.731 0.525 0.556
Mn11 Mn 0.744 0.924 0.209
Mn12 Mn 0.803 0.043 0.820
B1 B 0.161 0.425 0.463
B2 B 0.223 0.525 0.062
B3 B 0.241 0.917 0.703
B4 B 0.306 0.031 0.315
B5 B 0.500 0.067 0.111
B6 B 0.571 0.211 0.740
B7 B 0.574 0.577 0.368
B8 B 0.631 0.689 0.980
B9 B 0.846 0.752 0.780
B10 B 0.892 0.862 0.396
B11 B 0.921 0.259 0.048
B12 B 0.976 0.348 0.639
O1 O 0.013 0.225 0.567
O2 O 0.056 0.055 0.303
O3 O 0.057 0.987 0.701
O4 O 0.064 0.321 0.150
O5 O 0.087 0.796 0.399
O6 O 0.089 0.723 0.791
O7 O 0.091 0.465 0.959
O8 O 0.108 0.597 0.147
O9 O 0.109 0.550 0.526
O10 O 0.118 0.416 0.733
O11 O 0.270 0.811 0.618
O12 O 0.333 0.606 0.355
O13 O 0.347 0.981 0.021
O14 O 0.359 0.916 0.242
O15 O 0.389 0.408 0.500
O16 O 0.396 0.957 0.801
O17 O 0.416 0.157 0.642
O18 O 0.430 0.715 0.930
O19 O 0.431 0.180 0.177
O20 O 0.471 0.508 0.078
O21 O 0.484 0.119 0.395
O22 O 0.491 0.293 0.829
O23 O 0.667 0.670 0.698
O24 O 0.684 0.507 0.282
O25 O 0.706 0.629 0.472
O26 O 0.711 0.574 0.919
O27 O 0.723 0.318 0.033
O28 O 0.740 0.763 0.081
O29 O 0.744 0.044 0.140
O30 O 0.752 0.814 0.292
O31 O 0.777 0.388 0.600
O32 O 0.800 0.867 0.859
O33 O 0.811 0.177 0.745
O34 O 0.841 0.960 0.479
O35 O 0.962 0.149 0.974
O36 O 0.996 0.333 0.383
```

Properties
Calculated volume ... 125 Å³/f.u.
Crystal system ... triclinic
Total DFT energy (no corrections) ... -7.4989 eV per atom

Entry 2:
# LiMn2B2O6

A geometry-optimized LiMn2B2O6 structure (PBE+U, the Materials Project).

```
data_LiMn2B2O6
_space_group_name_H-M_alt 'P 1'
_space_group_IT_number 1
_cell_length_a 5.321
_cell_length_b 5.780
_cell_length_c 9.074
_cell_angle_alpha 102.37
_cell_angle_beta 90.80
_cell_angle_gamma 113.64
loop_
_space_group_symop_operation_xyz
'x,y,z'
loop_
_atom_site_label
_atom_site_type_symbol
_atom_site_fract_x
_atom_site_fract_y
_atom_site_fract_z
Li1 Li 0.000 0.000 0.000
Li2 Li 0.373 0.337 0.561
Mn1 Mn 0.414 0.418 0.217
Mn2 Mn 0.479 0.933 0.831
Mn3 Mn 0.912 0.425 0.737
Mn4 Mn 0.980 0.915 0.341
B1 B 0.393 0.419 0.893
B2 B 0.485 0.918 0.160
B3 B 0.892 0.413 0.406
B4 B 0.999 0.937 0.677
O1 O 0.031 0.807 0.789
O2 O 0.112 0.339 0.385
O3 O 0.154 0.965 0.561
O4 O 0.236 0.372 0.012
O5 O 0.289 0.029 0.183
O6 O 0.314 0.509 0.775
O7 O 0.526 0.792 0.268
O8 O 0.610 0.348 0.875
O9 O 0.636 0.937 0.041
O10 O 0.751 0.396 0.531
O11 O 0.802 0.501 0.292
O12 O 0.817 0.055 0.709
```

Properties
Calculated volume ... 124 Å³/f.u.
Crystal system ... triclinic
Total DFT energy (no corrections) ... -7.4975 eV per atom

Entry 3:
# Li5Mn6B6O18

A geometry-optimized Li5Mn6B6O18 structure (PBE+U, the Materials Project).

```
data_Li5Mn6B6O18
_space_group_name_H-M_alt 'P 1'
_space_group_IT_number 1
_cell_length_a 5.224
_cell_length_b 5.939
_cell_length_c 13.459
_cell_angle_alpha 97.19
_cell_angle_beta 91.56
_cell_angle_gamma 112.77
loop_
_space_group_symop_operation_xyz
'x,y,z'
loop_
_atom_site_label
_atom_site_type_symbol
_atom_site_fract_x
_atom_site_fract_y
_atom_site_fract_z
Li1 Li 0.000 0.000 0.000
Li2 Li 0.049 0.441 0.082
Li3 Li 0.334 0.664 0.667
Li4 Li 0.385 0.104 0.749
Li5 Li 0.709 0.746 0.416
Mn1 Mn 0.167 0.713 0.287
Mn2 Mn 0.197 0.371 0.457
Mn3 Mn 0.514 0.393 0.958
Mn4 Mn 0.536 0.052 0.132
Mn5 Mn 0.849 0.062 0.624
Mn6 Mn 0.871 0.710 0.794
B1 B 0.103 0.172 0.231
B2 B 0.280 0.929 0.513
B3 B 0.435 0.841 0.903
B4 B 0.620 0.603 0.184
B5 B 0.764 0.507 0.570
B6 B 0.952 0.266 0.850
O1 O 0.029 0.132 0.773
O2 O 0.057 0.000 0.495
O3 O 0.088 0.327 0.946
O4 O 0.094 0.359 0.304
O5 O 0.281 0.054 0.253
O6 O 0.300 0.782 0.808
O7 O 0.343 0.785 0.435
O8 O 0.363 0.978 0.981
O9 O 0.394 0.670 0.166
O10 O 0.417 0.986 0.608
O11 O 0.617 0.445 0.479
O12 O 0.658 0.771 0.922
O13 O 0.680 0.452 0.109
O14 O 0.703 0.653 0.649
O15 O 0.726 0.332 0.832
O16 O 0.773 0.686 0.276
O17 O 0.963 0.119 0.138
O18 O 0.989 0.437 0.587
```

Properties
Calculated volume ... 381 Å³/f.u.
Crystal system ... triclinic
Total DFT energy (no corrections) ... -7.3721 eV per atom

Entry 4:
# LiMn2B2O6

A geometry-optimized LiMn2B2O6 structure (PBE+U, the Materials Project).

```
data_LiMn2B2O6
_space_group_name_H-M_alt 'P 1'
_space_group_IT_number 1
_cell_length_a 5.791
_cell_length_b 9.178
_cell_length_c 9.815
_cell_angle_alpha 81.24
_cell_angle_beta 79.84
_cell_angle_gamma 75.86
loop_
_space_group_symop_operation_xyz
'x,y,z'
loop_
_atom_site_label
_atom_site_type_symbol
_atom_site_fract_x
_atom_site_fract_y
_atom_site_fract_z
Li1 Li 0.000 0.000 0.000
Li2 Li 0.086 0.615 0.260
Li3 Li 0.571 0.614 0.762
Li4 Li 0.830 0.114 0.519
Mn1 Mn 0.161 0.936 0.263
Mn2 Mn 0.188 0.203 0.744
Mn3 Mn 0.406 0.398 0.015
Mn4 Mn 0.422 0.704 0.497
Mn5 Mn 0.643 0.927 0.780
Mn6 Mn 0.666 0.196 0.256
Mn7 Mn 0.899 0.434 0.521
Mn8 Mn 0.930 0.670 0.993
B1 B 0.139 0.271 0.280
B2 B 0.179 0.854 0.757
B3 B 0.394 0.750 0.023
B4 B 0.434 0.359 0.503
B5 B 0.656 0.270 0.767
B6 B 0.695 0.857 0.239
B7 B 0.897 0.773 0.526
B8 B 0.930 0.335 0.997
O1 O 0.000 0.202 0.942
O2 O 0.026 0.150 0.328
O3 O 0.060 0.409 0.330
O4 O 0.074 0.441 0.973
O5 O 0.085 0.754 0.413
O6 O 0.209 0.392 0.587
O7 O 0.265 0.723 0.702
O8 O 0.285 0.630 0.065
O9 O 0.305 0.888 0.073
O10 O 0.309 0.967 0.739
O11 O 0.334 0.249 0.175
O12 O 0.475 0.886 0.329
O13 O 0.524 0.223 0.457
O14 O 0.537 0.154 0.804
O15 O 0.566 0.472 0.482
O16 O 0.577 0.405 0.824
O17 O 0.590 0.737 0.913
O18 O 0.711 0.371 0.086
O19 O 0.777 0.656 0.572
O20 O 0.785 0.723 0.190
O21 O 0.825 0.906 0.584
O22 O 0.826 0.973 0.209
O23 O 0.853 0.251 0.660
O24 O 0.959 0.881 0.852
```

Properties
Calculated volume ... 124 Å³/f.u.
Crystal system ... triclinic
Total DFT energy (no corrections) ... -7.5057 eV per atom

Entry 5:
# Li2Mn3B3O9

A geometry-optimized Li2Mn3B3O9 structure (PBE+U, the Materials Project).

```
data_Li2Mn3B3O9
_space_group_name_H-M_alt 'P -1'
_space_group_IT_number 2
_cell_length_a 5.226
_cell_length_b 5.867
_cell_length_c 13.437
_cell_angle_alpha 96.58
_cell_angle_beta 91.29
_cell_angle_gamma 112.39
loop_
_space_group_symop_operation_xyz
'x,y,z'
'-x,-y,-z'
loop_
_atom_site_label
_atom_site_type_symbol
_atom_site_fract_x
_atom_site_fract_y
_atom_site_fract_z
Li1 Li 0.025 0.223 0.039
Li2 Li 0.315 0.469 0.628
Mn1 Mn 0.136 0.490 0.244
Mn2 Mn 0.177 0.155 0.417
Mn3 Mn 0.487 0.163 0.909
B1 B 0.074 0.952 0.190
B2 B 0.256 0.709 0.466
B3 B 0.408 0.617 0.861
O1 O 0.031 0.780 0.451
O2 O 0.060 0.136 0.263
O3 O 0.063 0.101 0.903
O4 O 0.255 0.836 0.213
O5 O 0.258 0.539 0.771
O6 O 0.313 0.562 0.385
O7 O 0.345 0.765 0.938
O8 O 0.363 0.448 0.121
O9 O 0.403 0.761 0.556
```

Properties
Calculated volume ... 189 Å³/f.u.
Crystal system ... triclinic
Total DFT energy (no corrections) ... -7.4357 eV per atom

Entry 6:
# LiMn2B2O6

A geometry-optimized LiMn2B2O6 structure (PBE+U, the Materials Project).

```
data_LiMn2B2O6
_space_group_name_H-M_alt 'P 1 c 1'
_space_group_IT_number 7
_cell_length_a 5.323
_cell_length_b 9.048
_cell_length_c 10.363
_cell_angle_alpha 90.00
_cell_angle_beta 91.96
_cell_angle_gamma 90.00
loop_
_space_group_symop_operation_xyz
'x,y,z'
'x,-y,z+1/2'
loop_
_atom_site_label
_atom_site_type_symbol
_atom_site_fract_x
_atom_site_fract_y
_atom_site_fract_z
Li1 Li 0.000 0.003 0.000
Li2 Li 0.764 0.482 0.750
Mn1 Mn 0.276 0.303 0.215
Mn2 Mn 0.484 0.195 0.958
Mn3 Mn 0.786 0.148 0.707
Mn4 Mn 0.979 0.346 0.471
B1 B 0.288 0.351 0.720
B2 B 0.475 0.148 0.454
B3 B 0.813 0.188 0.201
B4 B 0.958 0.313 0.957
O1 O 0.038 0.329 0.677
O2 O 0.195 0.301 0.019
O3 O 0.345 0.272 0.400
O4 O 0.352 0.019 0.465
O5 O 0.406 0.482 0.711
O6 O 0.424 0.228 0.773
O7 O 0.566 0.198 0.152
O8 O 0.725 0.166 0.498
O9 O 0.841 0.178 0.921
O10 O 0.846 0.443 0.935
O11 O 0.920 0.320 0.249
O12 O 0.943 0.061 0.194
```

Properties
Calculated volume ... 125 Å³/f.u.
Crystal system ... monoclinic
Total DFT energy (no corrections) ... -7.4993 eV per atom

Entry 7:
# LiMn2B2O6

A geometry-optimized LiMn2B2O6 structure (PBE+U, the Materials Project).

```
data_LiMn2B2O6
_space_group_name_H-M_alt 'P 1'
_space_group_IT_number 1
_cell_length_a 5.297
_cell_length_b 5.800
_cell_length_c 16.436
_cell_angle_alpha 80.82
_cell_angle_beta 89.96
_cell_angle_gamma 89.38
loop_
_space_group_symop_operation_xyz
'x,y,z'
loop_
_atom_site_label
_atom_site_type_symbol
_atom_site_fract_x
_atom_site_fract_y
_atom_site_fract_z
Li1 Li 0.000 0.000 0.000
Li2 Li 0.005 0.503 0.501
Li3 Li 0.329 0.382 0.734
Li4 Li 0.498 0.248 0.253
Mn1 Mn 0.358 0.986 0.408
Mn2 Mn 0.364 0.497 0.906
Mn3 Mn 0.475 0.160 0.077
Mn4 Mn 0.480 0.658 0.580
Mn5 Mn 0.845 0.219 0.650
Mn6 Mn 0.856 0.737 0.156
Mn7 Mn 0.966 0.895 0.822
Mn8 Mn 0.974 0.403 0.327
B1 B 0.340 0.158 0.572
B2 B 0.346 0.664 0.069
B3 B 0.490 0.989 0.913
B4 B 0.495 0.489 0.411
B5 B 0.842 0.400 0.815
B6 B 0.846 0.908 0.319
B7 B 0.992 0.728 0.658
B8 B 0.995 0.240 0.160
O1 O 0.091 0.188 0.558
O2 O 0.094 0.693 0.062
O3 O 0.248 0.695 0.669
O4 O 0.254 0.229 0.169
O5 O 0.343 0.860 0.869
O6 O 0.356 0.617 0.462
O7 O 0.359 0.133 0.961
O8 O 0.364 0.369 0.358
O9 O 0.472 0.304 0.619
O10 O 0.477 0.493 0.033
O11 O 0.480 0.994 0.535
O12 O 0.496 0.816 0.106
O13 O 0.589 0.408 0.811
O14 O 0.594 0.940 0.313
O15 O 0.751 0.974 0.915
O16 O 0.754 0.475 0.419
O17 O 0.851 0.366 0.211
O18 O 0.861 0.608 0.604
O19 O 0.864 0.868 0.705
O20 O 0.867 0.121 0.107
O21 O 0.972 0.736 0.283
O22 O 0.986 0.239 0.775
O23 O 0.989 0.551 0.853
O24 O 0.997 0.059 0.357
```

Properties
Calculated volume ... 125 Å³/f.u.
Crystal system ... triclinic
Total DFT energy (no corrections) ... -7.5003 eV per atom

Entry 8:
# Li2Mn3B3O9

A geometry-optimized Li2Mn3B3O9 structure (PBE+U, the Materials Project).

```
data_Li2Mn3B3O9
_space_group_name_H-M_alt 'P 1'
_space_group_IT_number 1
_cell_length_a 6.321
_cell_length_b 8.285
_cell_length_c 8.745
_cell_angle_alpha 61.74
_cell_angle_beta 69.72
_cell_angle_gamma 88.95
loop_
_space_group_symop_operation_xyz
'x,y,z'
loop_
_atom_site_label
_atom_site_type_symbol
_atom_site_fract_x
_atom_site_fract_y
_atom_site_fract_z
Li1 Li 0.000 0.000 0.000
Li2 Li 0.138 0.691 0.732
Li3 Li 0.520 0.007 0.002
Li4 Li 0.822 0.263 0.419
Mn1 Mn 0.097 0.980 0.354
Mn2 Mn 0.241 0.621 0.074
Mn3 Mn 0.402 0.336 0.688
Mn4 Mn 0.584 0.970 0.386
Mn5 Mn 0.723 0.613 0.090
Mn6 Mn 0.899 0.385 0.693
B1 B 0.312 0.654 0.386
B2 B 0.401 0.982 0.727
B3 B 0.509 0.314 0.039
B4 B 0.827 0.654 0.372
B5 B 0.904 0.991 0.723
B6 B 0.978 0.315 0.048
O1 O 0.051 0.405 0.852
O2 O 0.216 0.464 0.503
O3 O 0.298 0.767 0.464
O4 O 0.329 0.051 0.853
O5 O 0.345 0.795 0.792
O6 O 0.421 0.722 0.194
O7 O 0.439 0.127 0.167
O8 O 0.500 0.445 0.097
O9 O 0.525 0.107 0.539
O10 O 0.585 0.372 0.848
O11 O 0.768 0.459 0.491
O12 O 0.823 0.768 0.443
O13 O 0.846 0.090 0.820
O14 O 0.867 0.797 0.821
O15 O 0.897 0.725 0.177
O16 O 0.931 0.125 0.155
O17 O 0.959 0.424 0.132
O18 O 0.997 0.083 0.530
```

Properties
Calculated volume ... 186 Å³/f.u.
Crystal system ... triclinic
Total DFT energy (no corrections) ... -7.4123 eV per atom

no.,ΔH_f (0 K) (eV/f.u.),relative energy among the computed polymorphs (meV per atom),corrected total energy (MP2020 scheme) (eV for the cell shown)
1,-26.7,8,-539.67
2,-26.7,9,-179.86
3,-86.7,4,-280.40
4,-26.7,1,-360.08
5,-41.7,8,-275.19
6,-26.7,7,-359.80
7,-26.7,6,-359.84
8,-41.3,32,-274.39